A relaxed K2O crystal, computed with PBE-GGA.

abc: 4.0450 4.0450 5.1153
angles: 90.00 90.00 90.00
Space group P4/mmm (No. 123)
Inequivalent atoms, fractional coordinates:
K (0.0000, 0.0000, 0.0000) (multiplicity 1)
K (0.5000, 0.5000, 0.5000) (multiplicity 1)
O (0.0000, 0.0000, 0.5000) (multiplicity 1)

final energy: -0.236 Ry/atom

***

A relaxed K2O crystal, computed with PBE-GGA.

abc: 6.4788 12.8935 6.6631
angles: 90.00 90.00 90.00
Space group Pbca (No. 61)
Inequivalent atoms, fractional coordinates:
K (0.0003, 0.0209, 0.2394) (multiplicity 8)
K (0.1435, 0.2057, 0.6226) (multiplicity 8)
O (0.2318, 0.6150, 0.9690) (multiplicity 8)

final energy: -0.249 Ry/atom

***

A relaxed K2O crystal, computed with PBE-GGA.

abc: 7.3918 4.2777 10.1704
angles: 90.00 104.74 90.00
Space group C2/m (No. 12)
Inequivalent atoms, fractional coordinates:
K (0.1156, 0.0000, 0.3303) (multiplicity 4)
K (0.2060, 0.5000, 0.1112) (multiplicity 4)
O (0.0909, 0.5000, 0.7844) (multiplicity 4)

final energy: -0.247 Ry/atom

***

A relaxed K2OsO5 crystal, computed with PBE-GGA.

abc: 8.4060 10.9450 11.0230
angles: 119.42 91.51 90.81
Space group P1 (No. 1)
Inequivalent atoms, fractional coordinates:
K (0.0000, 0.0000, 0.0000) (multiplicity 1)
K (0.0010, 0.2461, 0.6126) (multiplicity 1)
K (0.0145, 0.6245, 0.2586) (multiplicity 1)
K (0.2388, 0.6164, 0.6317) (multiplicity 1)
K (0.2606, 0.2842, 0.9586) (multiplicity 1)
K (0.2721, 0.9535, 0.2966) (multiplicity 1)
K (0.4464, 0.6323, 0.9216) (multiplicity 1)
K (0.4908, 0.3380, 0.3305) (multiplicity 1)
K (0.5587, 0.9318, 0.6441) (multiplicity 1)
K (0.7404, 0.9548, 0.2870) (multiplicity 1)
K (0.7415, 0.3153, 0.9847) (multiplicity 1)
K (0.7465, 0.6218, 0.6231) (multiplicity 1)
Os (0.0075, 0.6337, 0.9374) (multiplicity 1)
Os (0.0093, 0.9202, 0.6279) (multiplicity 1)
Os (0.5002, 0.2705, 0.6310) (multiplicity 1)
Os (0.5043, 0.9970, 0.9987) (multiplicity 1)
Os (0.5101, 0.6403, 0.2736) (multiplicity 1)
Os (0.9962, 0.3416, 0.3224) (multiplicity 1)
O (0.0043, 0.1685, 0.3006) (multiplicity 1)
O (0.0084, 0.2794, 0.1351) (multiplicity 1)
O (0.0146, 0.7693, 0.1200) (multiplicity 1)
O (0.0501, 0.1037, 0.7558) (multiplicity 1)
O (0.1231, 0.4988, 0.8015) (multiplicity 1)
O (0.1321, 0.7534, 0.9067) (multiplicity 1)
O (0.1788, 0.4410, 0.3508) (multiplicity 1)
O (0.2081, 0.8727, 0.6387) (multiplicity 1)
O (0.3167, 0.1810, 0.6167) (multiplicity 1)
O (0.3267, 0.0855, 0.0785) (multiplicity 1)
O (0.3298, 0.6461, 0.1844) (multiplicity 1)
O (0.4927, 0.9001, 0.0953) (multiplicity 1)
O (0.4965, 0.3651, 0.8215) (multiplicity 1)
O (0.4970, 0.4491, 0.1689) (multiplicity 1)
O (0.4990, 0.4362, 0.6305) (multiplicity 1)
O (0.5006, 0.8347, 0.8365) (multiplicity 1)
O (0.5090, 0.8325, 0.3755) (multiplicity 1)
O (0.5135, 0.0980, 0.9066) (multiplicity 1)
O (0.5139, 0.1767, 0.4409) (multiplicity 1)
O (0.5146, 0.6303, 0.4320) (multiplicity 1)
O (0.6787, 0.1890, 0.6435) (multiplicity 1)
O (0.6892, 0.0766, 0.0884) (multiplicity 1)
O (0.6928, 0.6482, 0.2000) (multiplicity 1)
O (0.8091, 0.4150, 0.3177) (multiplicity 1)
O (0.8205, 0.6438, 0.8684) (multiplicity 1)
O (0.8575, 0.9217, 0.7430) (multiplicity 1)
O (0.9455, 0.7363, 0.5172) (multiplicity 1)
O (0.9678, 0.5038, 0.9904) (multiplicity 1)
O (0.9701, 0.9598, 0.4902) (multiplicity 1)
O (0.9820, 0.4217, 0.5119) (multiplicity 1)

energy above the most stable polymorph in this dataset: 7 meV/atom
final energy: -0.452 Ry/atom

***

A relaxed K2OsO5 crystal, computed with PBE-GGA.

abc: 10.9203 10.9203 8.2981
angles: 90.00 90.00 120.00
Space group P-6 (No. 174)
Inequivalent atoms, fractional coordinates:
K (0.0000, 0.0000, 0.2415) (multiplicity 2)
K (0.0023, 0.7000, 0.5000) (multiplicity 3)
K (0.0032, 0.3717, 0.0000) (multiplicity 3)
K (0.3333, 0.6667, 0.2531) (multiplicity 2)
K (0.6667, 0.3333, 0.2581) (multiplicity 2)
Os (0.9996, 0.3655, 0.5000) (multiplicity 3)
Os (0.0125, 0.7090, 0.0000) (multiplicity 3)
O (0.0848, 0.7961, 0.1881) (multiplicity 6)
O (0.1417, 0.6488, 0.0000) (multiplicity 3)
O (0.1925, 0.4652, 0.5000) (multiplicity 3)
O (0.2018, 0.0012, 0.5000) (multiplicity 3)
O (0.2120, 0.1108, 0.0000) (multiplicity 3)
O (0.4527, 0.0019, 0.3159) (multiplicity 6)
O (0.4644, 0.1948, 0.5000) (multiplicity 3)
O (0.4675, 0.3310, 0.0000) (multiplicity 3)

energy above the most stable polymorph in this dataset: 0 meV/atom
final energy: -0.452 Ry/atom

***

A relaxed KOsO3 crystal, computed with PBE-GGA.

abc: 3.9312 3.9312 3.9312
angles: 90.00 90.00 90.00
Space group Pm-3m (No. 221)
Inequivalent atoms, fractional coordinates:
K (0.0000, 0.0000, 0.0000) (multiplicity 1)
Os (0.5000, 0.5000, 0.5000) (multiplicity 1)
O (0.0000, 0.5000, 0.5000) (multiplicity 3)

final energy: -0.489 Ry/atom

***

A relaxed KPO3 crystal, computed with PBE-GGA.

abc: 10.5328 4.6224 14.2836
angles: 90.00 101.31 90.00
Space group P2_1/c (No. 14)
Inequivalent atoms, fractional coordinates:
K (0.0667, 0.2209, 0.1708) (multiplicity 4)
K (0.3979, 0.7361, 0.6313) (multiplicity 4)
P (0.2155, 0.2044, 0.4446) (multiplicity 4)
P (0.3097, 0.7030, 0.3470) (multiplicity 4)
O (0.0835, 0.2248, 0.3825) (multiplicity 4)
O (0.1987, 0.7210, 0.2633) (multiplicity 4)
O (0.2368, 0.2275, 0.0491) (multiplicity 4)
O (0.2769, 0.6179, 0.9384) (multiplicity 4)
O (0.3209, 0.1170, 0.8956) (multiplicity 4)
O (0.4435, 0.7261, 0.8326) (multiplicity 4)

final energy: -0.482 Ry/atom

***

A relaxed KPO3 crystal, computed with PBE-GGA.

abc: 7.4978 12.1831 12.1435
angles: 90.00 114.95 90.00
Space group P2_1/c (No. 14)
Inequivalent atoms, fractional coordinates:
K (0.0775, 0.1412, 0.4194) (multiplicity 4)
K (0.2314, 0.0813, 0.8786) (multiplicity 4)
K (0.3015, 0.7437, 0.8989) (multiplicity 4)
P (0.2521, 0.1713, 0.1758) (multiplicity 4)
P (0.2818, 0.5700, 0.6544) (multiplicity 4)
P (0.3925, 0.5547, 0.1646) (multiplicity 4)
O (0.1083, 0.2375, 0.2041) (multiplicity 4)
O (0.1518, 0.6579, 0.6662) (multiplicity 4)
O (0.1636, 0.0464, 0.1431) (multiplicity 4)
O (0.2793, 0.5482, 0.0296) (multiplicity 4)
O (0.2814, 0.5721, 0.2412) (multiplicity 4)
O (0.3178, 0.2098, 0.0815) (multiplicity 4)
O (0.3576, 0.5775, 0.5584) (multiplicity 4)
O (0.4407, 0.1508, 0.3068) (multiplicity 4)
O (0.4665, 0.5541, 0.7887) (multiplicity 4)

final energy: -0.481 Ry/atom